1.
A plane-wave DFT calculation with PBE was carried out for crystalline MgAl2B28 at its relaxed geometry.

Output
crystal system = triclinic
ΔH_f (0 K) = -9 kJ per mole of atoms
energy above the most stable polymorph in this dataset = 0.00 eV/f.u.

a = 7.1732 Å, b = 7.1753 Å, c = 10.9540 Å
α = 101.37°, β = 102.49°, γ = 111.43°
Atoms (fractional coordinates):
1 B 0.6976 0.6946 0.3356
2 B 0.1214 0.0963 0.8912
3 B 0.3717 0.8732 0.3347
4 B 0.9659 0.5894 0.2048
5 B 0.5401 0.2731 0.1410
6 B 0.6287 0.2588 0.5443
7 B 0.8071 0.3077 0.1663
8 B 0.3807 0.1223 0.4151
9 B 0.2865 0.5314 0.9165
10 B 0.7746 0.1023 0.5480
11 B 0.3829 0.8981 0.6101
12 B 0.6173 0.1015 0.3909
13 B 0.6317 0.1242 0.6636
14 B 0.5366 0.4130 0.2937
15 B 0.9587 0.4662 0.3353
16 B 0.7271 0.8992 0.9536
17 B 0.6938 0.4632 0.9261
18 B 0.2250 0.8965 0.4522
19 B 0.1292 0.1204 0.1631
20 B 0.1187 0.8691 0.0860
21 B 0.8684 0.7389 0.9622
22 B 0.2043 0.7242 0.1728
23 B 0.2108 0.4676 0.5864
24 B 0.0423 0.5342 0.6657
25 B 0.1325 0.2592 0.0402
26 B 0.8908 0.1399 0.0825
27 B 0.8841 0.8998 0.1124
28 B 0.6219 0.8769 0.5868
29 B 0.1915 0.6890 0.8353
30 B 0.6139 0.8629 0.4192
31 B 0.1944 0.2722 0.7971
32 B 0.1083 0.8560 0.9190
33 B 0.7931 0.5365 0.4171
34 B 0.7105 0.4642 0.0859
35 B 0.0320 0.4067 0.7954
36 B 0.8067 0.5303 0.5774
37 B 0.9622 0.7248 0.3607
38 B 0.6993 0.2739 0.2988
39 B 0.3017 0.5298 0.0750
40 B 0.4574 0.4691 0.8358
41 B 0.5405 0.5349 0.1664
42 B 0.8822 0.1273 0.9160
43 B 0.7063 0.7313 0.6768
44 B 0.7911 0.2697 0.8288
45 B 0.3053 0.7299 0.7075
46 B 0.2952 0.2696 0.3261
47 B 0.3015 0.3051 0.6665
48 B 0.8707 0.8784 0.8378
49 B 0.1965 0.4695 0.4251
50 B 0.4663 0.5871 0.7083
51 B 0.8027 0.7252 0.2033
52 B 0.0370 0.2733 0.6400
53 B 0.2752 0.0980 0.0492
54 B 0.3704 0.7420 0.4571
55 B 0.4610 0.7273 0.8620
56 B 0.3862 0.1353 0.5822
57 Al 0.2172 0.4778 0.2353
58 Al 0.7937 0.5322 0.7662
59 Al 0.4547 0.1488 0.8115
60 Al 0.5104 0.5100 0.4992
61 Mg 0.9962 0.0925 0.3987
62 Mg 0.5025 0.8873 0.1130

2.
A plane-wave DFT calculation with PBE was carried out for crystalline MgAlB4 at its relaxed geometry.

Output
crystal system = hexagonal
ΔH_f (0 K) = -14 kJ per mole of atoms

a = 3.0391 Å, b = 3.0391 Å, c = 6.7439 Å
α = 90.00°, β = 90.00°, γ = 120.00°
Atoms (fractional coordinates):
1 Al 0.0000 0.0000 0.0000
2 B 0.3333 0.6667 0.2337
3 B 0.6667 0.3333 0.7663
4 B 0.6667 0.3333 0.2337
5 B 0.3333 0.6667 0.7663
6 Mg 0.0000 0.0000 0.5000

3.
A plane-wave DFT calculation with PBE was carried out for crystalline Mg14AlBO16 at its relaxed geometry.

Output
crystal system = orthorhombic
ΔH_f (0 K) = -271 kJ per mole of atoms
corrected total energy (MP2020 scheme) = -6.31 eV/atom
energy above the most stable polymorph in this dataset = 0.00 eV/f.u.

a = 4.2372 Å, b = 8.5147 Å, c = 8.5511 Å
α = 90.00°, β = 90.00°, γ = 90.00°
Atoms (fractional coordinates):
1 O 0.0000 0.7366 0.5000
2 O 0.0000 0.5000 0.2443
3 O 0.5000 0.5000 0.0000
4 O 0.5000 0.0000 0.0000
5 O 0.5000 0.7514 0.7503
6 O 0.0000 0.2363 0.0000
7 O 0.0000 0.7637 0.0000
8 O 0.0000 0.2634 0.5000
9 O 0.0000 0.0000 0.2163
10 O 0.5000 0.2486 0.2497
11 O 0.5000 0.7514 0.2497
12 O 0.5000 0.5000 0.5000
13 O 0.0000 0.0000 0.7837
14 O 0.0000 0.5000 0.7557
15 O 0.5000 0.2486 0.7503
16 O 0.5000 0.0000 0.5000
17 Mg 0.0000 0.7525 0.2553
18 Mg 0.5000 0.0000 0.2560
19 Mg 0.5000 0.7533 0.5000
20 Mg 0.5000 0.2499 0.0000
21 Mg 0.0000 0.2475 0.2553
22 Mg 0.0000 0.5000 0.5000
23 Mg 0.0000 0.5000 0.0000
24 Mg 0.5000 0.2467 0.5000
25 Mg 0.5000 0.0000 0.7440
26 Mg 0.5000 0.7501 0.0000
27 Mg 0.0000 0.2475 0.7447
28 Mg 0.0000 0.7525 0.7447
29 Mg 0.5000 0.5000 0.2526
30 Mg 0.5000 0.5000 0.7474
31 Al 0.0000 0.0000 0.0000
32 B 0.0000 0.0000 0.5000

4.
A plane-wave DFT calculation with PBE was carried out for crystalline Mg14AlBO16 at its relaxed geometry.

Output
crystal system = tetragonal
ΔH_f (0 K) = -270 kJ per mole of atoms
corrected total energy (MP2020 scheme) = -6.30 eV/atom
energy above the most stable polymorph in this dataset = 0.44 eV/f.u.

a = 8.5358 Å, b = 8.5358 Å, c = 4.2410 Å
α = 90.00°, β = 90.00°, γ = 90.00°
Atoms (fractional coordinates):
1 Mg 0.5000 0.7441 0.5000
2 Mg 0.7439 0.7439 0.0000
3 Mg 0.7476 0.0000 0.5000
4 Mg 0.2524 0.0000 0.5000
5 Mg 0.5000 0.0000 0.0000
6 Mg 0.0000 0.2524 0.5000
7 Mg 0.2561 0.7439 0.0000
8 Mg 0.7441 0.5000 0.5000
9 Mg 0.0000 0.5000 0.0000
10 Mg 0.5000 0.2559 0.5000
11 Mg 0.0000 0.7476 0.5000
12 Mg 0.7439 0.2561 0.0000
13 Mg 0.2561 0.2561 0.0000
14 Mg 0.2559 0.5000 0.5000
15 O 0.5000 0.2309 0.0000
16 O 0.0000 0.0000 0.5000
17 O 0.7501 0.7501 0.5000
18 O 0.2309 0.5000 0.0000
19 O 0.5000 0.7691 0.0000
20 O 0.0000 0.2285 0.0000
21 O 0.7691 0.5000 0.0000
22 O 0.7715 0.0000 0.0000
23 O 0.2499 0.7501 0.5000
24 O 0.2499 0.2499 0.5000
25 O 0.0000 0.5000 0.5000
26 O 0.7501 0.2499 0.5000
27 O 0.5000 0.0000 0.5000
28 O 0.0000 0.7715 0.0000
29 O 0.2285 0.0000 0.0000
30 O 0.5000 0.5000 0.5000
31 B 0.5000 0.5000 0.0000
32 Al 0.0000 0.0000 0.0000

5.
A plane-wave DFT calculation with PBE was carried out for crystalline MgAl3SiBO9 at its relaxed geometry.

Output
crystal system = orthorhombic
ΔH_f (0 K) = -319 kJ per mole of atoms
corrected total energy (MP2020 scheme) = -7.94 eV/atom

a = 5.8167 Å, b = 10.4348 Å, c = 11.1012 Å
α = 90.00°, β = 90.00°, γ = 90.00°
Atoms (fractional coordinates):
1 Al 0.0000 0.0000 0.5000
2 Al 0.5000 0.0000 0.5000
3 Al 0.0000 0.5000 0.5000
4 Al 0.5000 0.5000 0.0000
5 Al 0.5000 0.5000 0.5000
6 Al 0.0000 0.0000 0.0000
7 Al 0.2500 0.2736 0.0521
8 Al 0.2500 0.2264 0.5521
9 Al 0.7500 0.7736 0.4479
10 Al 0.5000 0.0000 0.0000
11 Al 0.0000 0.5000 0.0000
12 Al 0.7500 0.7264 0.9479
13 O 0.9546 0.3194 0.9985
14 O 0.5221 0.5072 0.3296
15 O 0.2500 0.1186 0.9777
16 O 0.7500 0.5469 0.9003
17 O 0.5454 0.3194 0.9985
18 O 0.2500 0.0262 0.3796
19 O 0.7500 0.7250 0.2884
20 O 0.9779 0.9928 0.8296
21 O 0.9546 0.1806 0.4985
22 O 0.7500 0.6186 0.5223
23 O 0.2500 0.6215 0.4964
24 O 0.7500 0.9531 0.4003
25 O 0.2500 0.8785 0.9964
26 O 0.2500 0.4531 0.0997
27 O 0.0221 0.4928 0.6704
28 O 0.2500 0.2250 0.2116
29 O 0.7500 0.3785 0.5036
30 O 0.2500 0.0469 0.5997
31 O 0.5454 0.1806 0.4985
32 O 0.4779 0.0072 0.1704
33 O 0.0454 0.6806 0.0015
34 O 0.0454 0.8194 0.5015
35 O 0.7500 0.9738 0.6204
36 O 0.4779 0.4928 0.6704
37 O 0.7500 0.5262 0.1204
38 O 0.4546 0.6806 0.0015
39 O 0.5221 0.9928 0.8296
40 O 0.2500 0.4738 0.8796
41 O 0.9779 0.5072 0.3296
42 O 0.2500 0.2750 0.7116
43 O 0.2500 0.3814 0.4777
44 O 0.7500 0.7750 0.7884
45 O 0.7500 0.1215 0.0036
46 O 0.4546 0.8194 0.5015
47 O 0.7500 0.8814 0.0223
48 O 0.0221 0.0072 0.1704
49 Mg 0.2500 0.4073 0.2812
50 Mg 0.7500 0.5927 0.7188
51 Mg 0.2500 0.0927 0.7812
52 Mg 0.7500 0.9073 0.2188
53 Si 0.2500 0.4339 0.7363
54 Si 0.7500 0.5661 0.2637
55 Si 0.7500 0.9339 0.7637
56 Si 0.2500 0.0661 0.2363
57 B 0.2500 0.7488 0.0005
58 B 0.7500 0.2488 0.4995
59 B 0.7500 0.2512 0.9995
60 B 0.2500 0.7512 0.5005

6.
A plane-wave DFT calculation with PBE was carried out for crystalline Mn2AlB2 at its relaxed geometry.

Output
crystal system = orthorhombic
ΔH_f (0 K) = -45 kJ per mole of atoms

a = 2.8337 Å, b = 2.8965 Å, c = 5.7272 Å
α = 75.35°, β = 90.00°, γ = 90.00°
Atoms (fractional coordinates):
1 Mn 0.5000 0.6451 0.7098
2 Mn 0.5000 0.3549 0.2902
3 Al 0.0000 0.0000 0.0000
4 B 0.0000 0.2061 0.5879
5 B 0.0000 0.7939 0.4121

7.
A plane-wave DFT calculation with PBE was carried out for crystalline AlBMo at its relaxed geometry.

Output
crystal system = orthorhombic
ΔH_f (0 K) = -43 kJ per mole of atoms

a = 3.1132 Å, b = 3.2276 Å, c = 7.1978 Å
α = 77.04°, β = 90.00°, γ = 90.00°
Atoms (fractional coordinates):
1 Al 0.7500 0.6985 0.6030
2 Al 0.2500 0.3015 0.3970
3 B 0.7500 0.5333 0.9333
4 B 0.2500 0.4667 0.0667
5 Mo 0.7500 0.9106 0.1788
6 Mo 0.2500 0.0894 0.8212

8.
A plane-wave DFT calculation with PBE was carried out for crystalline AlBN2 at its relaxed geometry.

Output
crystal system = tetragonal
ΔH_f (0 K) = -110 kJ per mole of atoms
corrected total energy (MP2020 scheme) = -7.91 eV/atom

a = 2.8144 Å, b = 2.8144 Å, c = 4.1432 Å
α = 90.00°, β = 90.00°, γ = 90.00°
Atoms (fractional coordinates):
1 N 0.5000 0.0000 0.7900
2 N 0.0000 0.5000 0.2100
3 Al 0.5000 0.5000 0.5000
4 B 0.0000 0.0000 0.0000

9.
A plane-wave DFT calculation with PBE was carried out for crystalline YAl2BN4 at its relaxed geometry.

Output
crystal system = monoclinic
ΔH_f (0 K) = -104 kJ per mole of atoms
corrected total energy (MP2020 scheme) = -7.82 eV/atom

a = 3.1190 Å, b = 4.3588 Å, c = 6.4368 Å
α = 89.44°, β = 90.00°, γ = 90.00°
Atoms (fractional coordinates):
1 N 0.5000 0.6461 0.0233
2 N 0.0000 0.3225 0.2864
3 N 0.5000 0.7524 0.4647
4 N 0.0000 0.2532 0.7215
5 Al 0.0000 0.0106 0.4875
6 Al 0.5000 0.4920 0.7301
7 Y 0.0000 0.0071 0.0221
8 B 0.5000 0.5162 0.2644

10.
A plane-wave DFT calculation with PBE was carried out for crystalline Na2SrAl4B4O14 at its relaxed geometry.

Output
crystal system = trigonal
ΔH_f (0 K) = -297 kJ per mole of atoms
corrected total energy (MP2020 scheme) = -7.69 eV/atom

a = 4.9529 Å, b = 4.9529 Å, c = 15.9895 Å
α = 90.00°, β = 90.00°, γ = 120.00°
Atoms (fractional coordinates):
1 B 0.3333 0.6667 0.1050
2 B 0.6667 0.3333 0.5964
3 B 0.6667 0.3333 0.8983
4 B 0.3333 0.6667 0.3903
5 O 0.0415 0.4009 0.3883
6 O 0.4349 0.4098 0.9033
7 O 0.9685 0.5799 0.5938
8 O 0.0342 0.4115 0.1028
9 O 0.3772 0.9658 0.1028
10 O 0.4201 0.3886 0.5938
11 O 0.5902 0.0252 0.9033
12 O 0.5991 0.6406 0.3883
13 O 0.6667 0.3333 0.2513
14 O 0.3333 0.6667 0.7451
15 O 0.3594 0.9585 0.3883
16 O 0.6114 0.0315 0.5938
17 O 0.5885 0.6228 0.1028
18 O 0.9748 0.5651 0.9033
19 Al 0.6667 0.3333 0.1446
20 Al 0.3333 0.6667 0.6367
21 Al 0.3333 0.6667 0.8494
22 Al 0.6667 0.3333 0.3609
23 Na 0.0000 0.0000 0.2942
24 Na 0.0000 0.0000 0.5219
25 Sr 0.0000 0.0000 0.9911

11.
A plane-wave DFT calculation with PBE was carried out for crystalline Nb2AlB6 at its relaxed geometry.

Output
crystal system = hexagonal
ΔH_f (0 K) = -45 kJ per mole of atoms

a = 3.0431 Å, b = 3.0431 Å, c = 10.3104 Å
α = 90.00°, β = 90.00°, γ = 120.00°
Atoms (fractional coordinates):
1 B 0.3333 0.6667 0.1593
2 B 0.6667 0.3333 0.8407
3 B 0.3333 0.6667 0.8407
4 B 0.3333 0.6667 0.5000
5 B 0.6667 0.3333 0.5000
6 B 0.6667 0.3333 0.1593
7 Nb 0.0000 0.0000 0.6645
8 Nb 0.0000 0.0000 0.3355
9 Al 0.0000 0.0000 0.0000

12.
A plane-wave DFT calculation with PBE was carried out for crystalline Al2Ni21B6 at its relaxed geometry.

Output
crystal system = cubic
ΔH_f (0 K) = -34 kJ per mole of atoms

a = 7.3861 Å, b = 7.3861 Å, c = 7.3861 Å
α = 60.00°, β = 60.00°, γ = 60.00°
Atoms (fractional coordinates):
1 Ni 0.1475 0.6175 0.6175
2 Ni 0.6175 0.6175 0.6175
3 Ni 0.6175 0.1475 0.6175
4 Ni 0.6618 0.0000 0.0000
5 Ni 0.3382 0.0000 0.0000
6 Ni 0.3825 0.8525 0.3825
7 Ni 0.0000 0.3382 0.6618
8 Ni 0.3825 0.3825 0.3825
9 Ni 0.3382 0.0000 0.6618
10 Ni 0.3825 0.3825 0.8525
11 Ni 0.6618 0.3382 0.0000
12 Ni 0.8525 0.3825 0.3825
13 Ni 0.6175 0.6175 0.1475
14 Ni 0.0000 0.6618 0.3382
15 Ni 0.0000 0.0000 0.0000
16 Ni 0.0000 0.3382 0.0000
17 Ni 0.6618 0.0000 0.3382
18 Ni 0.0000 0.0000 0.6618
19 Ni 0.0000 0.0000 0.3382
20 Ni 0.0000 0.6618 0.0000
21 Ni 0.3382 0.6618 0.0000
22 B 0.7266 0.2734 0.7266
23 B 0.7266 0.7266 0.2734
24 B 0.2734 0.7266 0.7266
25 B 0.2734 0.2734 0.7266
26 B 0.7266 0.2734 0.2734
27 B 0.2734 0.7266 0.2734
28 Al 0.2500 0.2500 0.2500
29 Al 0.7500 0.7500 0.7500

13.
A plane-wave DFT calculation with PBE was carried out for crystalline Al5Ni41B12 at its relaxed geometry.

Output
crystal system = trigonal
ΔH_f (0 K) = -36 kJ per mole of atoms

a = 12.8203 Å, b = 12.8203 Å, c = 12.8203 Å
α = 33.53°, β = 33.53°, γ = 33.53°
Atoms (fractional coordinates):
1 Ni 0.5000 0.8384 0.1616
2 Ni 0.8384 0.1616 0.5000
3 Ni 0.8324 0.1677 0.1677
4 Ni 0.3299 0.3299 0.6699
5 Ni 0.1677 0.8324 0.1677
6 Ni 0.0000 0.6626 0.3374
7 Ni 0.6913 0.6913 0.6913
8 Ni 0.1616 0.8384 0.5000
9 Ni 0.3374 0.0000 0.6626
10 Ni 0.5736 0.5736 0.0443
11 Ni 0.8090 0.8090 0.8090
12 Ni 0.0443 0.5736 0.5736
13 Ni 0.6626 0.3374 0.0000
14 Ni 0.4559 0.9265 0.9265
15 Ni 0.3087 0.3087 0.3087
16 Ni 0.6626 0.0000 0.3374
17 Ni 0.1677 0.1677 0.8324
18 Ni 0.9265 0.9265 0.4559
19 Ni 0.1910 0.1910 0.1910
20 Ni 0.1616 0.5000 0.8384
21 Ni 0.9557 0.4264 0.4264
22 Ni 0.5736 0.0443 0.5736
23 Ni 0.1676 0.8323 0.8323
24 Ni 0.3301 0.6701 0.6701
25 Ni 0.0000 0.0000 0.0000
26 Ni 0.3374 0.6626 0.0000
27 Ni 0.4264 0.9557 0.4264
28 Ni 0.6699 0.3299 0.3299
29 Ni 0.8384 0.5000 0.1616
30 Ni 0.8323 0.8323 0.1676
31 Ni 0.0000 0.3374 0.6626
32 Ni 0.6701 0.6701 0.3301
33 Ni 0.4264 0.4264 0.9557
34 Ni 0.0735 0.5441 0.0735
35 Ni 0.3299 0.6699 0.3299
36 Ni 0.5000 0.1616 0.8384
37 Ni 0.6701 0.3301 0.6701
38 Ni 0.5441 0.0735 0.0735
39 Ni 0.9265 0.4559 0.9265
40 Ni 0.0735 0.0735 0.5441
41 Ni 0.8323 0.1676 0.8323
42 Al 0.3749 0.3749 0.3749
43 Al 0.8750 0.8750 0.8750
44 Al 0.5000 0.5000 0.5000
45 Al 0.1250 0.1250 0.1250
46 Al 0.6251 0.6251 0.6251
47 B 0.9109 0.3630 0.3630
48 B 0.5904 0.1367 0.1367
49 B 0.0891 0.6370 0.6370
50 B 0.3630 0.3630 0.9109
51 B 0.6370 0.6370 0.0891
52 B 0.1367 0.5904 0.1367
53 B 0.6370 0.0891 0.6370
54 B 0.1367 0.1367 0.5904
55 B 0.8633 0.8633 0.4096
56 B 0.3630 0.9109 0.3630
57 B 0.4096 0.8633 0.8633
58 B 0.8633 0.4096 0.8633